Compound: Na6Co2AsC4O16
Source: the Materials Project database
Functional: GGA+U
Structure: optimized geometry

```
Na6Co2AsC4O16
1.0
0.000 7.015 7.015
7.015 0.000 7.015
7.015 7.015 0.000
Na Co As C O
12 4 2 8 32
direct
0.086 0.086 0.664
0.086 0.664 0.086
0.086 0.664 0.664
0.336 0.336 0.914
0.336 0.914 0.336
0.336 0.914 0.914
0.664 0.086 0.086
0.664 0.086 0.664
0.664 0.664 0.086
0.914 0.336 0.336
0.914 0.336 0.914
0.914 0.914 0.336
0.000 0.500 0.500
0.500 0.000 0.500
0.500 0.500 0.000
0.500 0.500 0.500
0.125 0.125 0.125
0.875 0.875 0.875
0.285 0.285 0.285
0.285 0.285 0.644
0.285 0.644 0.285
0.356 0.715 0.715
0.644 0.285 0.285
0.715 0.356 0.715
0.715 0.715 0.356
0.715 0.715 0.715
0.054 0.054 0.054
0.054 0.054 0.338
0.054 0.338 0.054
0.142 0.312 0.399
0.142 0.399 0.647
0.142 0.647 0.312
0.312 0.142 0.647
0.312 0.399 0.142
0.312 0.647 0.399
0.338 0.054 0.054
0.353 0.601 0.688
0.353 0.688 0.858
0.353 0.858 0.601
0.399 0.142 0.312
0.399 0.312 0.647
0.399 0.647 0.142
0.601 0.353 0.858
0.601 0.688 0.353
0.601 0.858 0.688
0.647 0.142 0.399
0.647 0.312 0.142
0.647 0.399 0.312
0.662 0.946 0.946
0.688 0.353 0.601
0.688 0.601 0.858
0.688 0.858 0.353
0.858 0.353 0.688
0.858 0.601 0.353
0.858 0.688 0.601
0.946 0.662 0.946
0.946 0.946 0.662
0.946 0.946 0.946
```

Summary:
* E: -6.270 eV per atom
* energy relative to the elements: -1.83 eV per atom
* spin magnetization: 13.98 μB/cell

=====

Compound: Li2Mn4O9
Source: the Materials Project database
Functional: GGA+U
Structure: optimized geometry

```
Li2Mn4O9
1.0
4.939 0.000 0.000
-2.470 4.277 0.000
0.000 0.000 13.587
Li Mn O
4 8 18
direct
0.000 0.000 0.148
0.000 0.000 0.352
0.000 0.000 0.648
0.000 0.000 0.852
0.333 0.667 0.015
0.333 0.667 0.315
0.333 0.667 0.515
0.333 0.667 0.815
0.667 0.333 0.185
0.667 0.333 0.485
0.667 0.333 0.685
0.667 0.333 0.985
0.000 0.331 0.250
0.000 0.669 0.750
0.031 0.374 0.920
0.031 0.657 0.420
0.331 0.000 0.250
0.331 0.331 0.750
0.343 0.374 0.420
0.343 0.969 0.920
0.374 0.031 0.580
0.374 0.343 0.080
0.626 0.657 0.920
0.626 0.969 0.420
0.657 0.031 0.080
0.657 0.626 0.580
0.669 0.000 0.750
0.669 0.669 0.250
0.969 0.343 0.580
0.969 0.626 0.080
```

Summary:
* E: -6.711 eV per atom
* energy relative to the elements: -1.90 eV per atom
* spin magnetization: 24.00 μB/cell

=====

Compound: Co9Te5Pb6O30
Source: the Materials Project database
Functional: GGA+U
Structure: optimized geometry

```
Co9Te5Pb6O30
1.0
10.548 0.000 0.000
-5.274 9.135 0.000
0.000 0.000 13.822
Co Te Pb O
18 10 12 60
direct
0.000 0.000 0.250
0.000 0.000 0.750
0.008 0.504 0.250
0.169 0.339 0.250
0.169 0.831 0.250
0.333 0.667 0.619
0.333 0.667 0.881
0.339 0.169 0.750
0.496 0.504 0.250
0.496 0.992 0.250
0.504 0.008 0.750
0.504 0.496 0.750
0.661 0.831 0.250
0.667 0.333 0.119
0.667 0.333 0.381
0.831 0.169 0.750
0.831 0.661 0.750
0.992 0.496 0.750
0.167 0.333 0.750
0.167 0.833 0.750
0.333 0.167 0.250
0.333 0.667 0.097
0.333 0.667 0.403
0.667 0.333 0.597
0.667 0.333 0.903
0.667 0.833 0.750
0.833 0.167 0.250
0.833 0.667 0.250
0.000 0.267 0.000
0.000 0.389 0.500
0.000 0.611 0.000
0.000 0.733 0.500
0.267 0.000 0.000
0.267 0.267 0.500
0.389 0.000 0.500
0.389 0.389 0.000
0.611 0.000 0.000
0.611 0.611 0.500
0.733 0.000 0.500
0.733 0.733 0.000
0.010 0.179 0.672
0.010 0.335 0.828
0.010 0.675 0.672
0.010 0.831 0.828
0.157 0.483 0.670
0.157 0.674 0.830
0.169 0.179 0.828
0.169 0.990 0.672
0.171 0.502 0.338
0.171 0.669 0.162
0.179 0.010 0.328
0.179 0.169 0.172
0.180 0.527 0.003
0.180 0.653 0.497
0.325 0.335 0.672
0.325 0.990 0.828
0.326 0.483 0.830
0.326 0.843 0.670
0.331 0.502 0.162
0.331 0.829 0.338
0.335 0.010 0.172
0.335 0.325 0.328
0.347 0.527 0.497
0.347 0.820 0.003
0.473 0.653 0.003
0.473 0.820 0.497
0.483 0.157 0.330
0.483 0.326 0.170
0.498 0.669 0.338
0.498 0.829 0.162
0.502 0.171 0.662
0.502 0.331 0.838
0.517 0.674 0.670
0.517 0.843 0.830
0.527 0.180 0.997
0.527 0.347 0.503
0.653 0.180 0.503
0.653 0.473 0.997
0.665 0.675 0.828
0.665 0.990 0.672
0.669 0.171 0.838
0.669 0.498 0.662
0.674 0.157 0.170
0.674 0.517 0.330
0.675 0.010 0.328
0.675 0.665 0.172
0.820 0.347 0.997
0.820 0.473 0.503
0.821 0.831 0.672
0.821 0.990 0.828
0.829 0.331 0.662
0.829 0.498 0.838
0.831 0.010 0.172
0.831 0.821 0.328
0.843 0.326 0.330
0.843 0.517 0.170
0.990 0.169 0.328
0.990 0.325 0.172
0.990 0.665 0.328
0.990 0.821 0.172
```

Summary:
* E: -5.791 eV per atom
* energy relative to the elements: -1.49 eV per atom
* spin magnetization: 54.00 μB/cell